[1]
Density functional theory data (PBE) for crystalline PrB5O10 at its relaxed geometry.

```
data_PrB5O10
_cell_length_a 6.5594
_cell_length_b 10.3708
_cell_length_c 11.2254
_cell_angle_alpha 90.00
_cell_angle_beta 113.81
_cell_angle_gamma 90.00
_symmetry_space_group_name_H-M 'P 1'
_symmetry_Int_Tables_number 1
_symmetry_space_group_name_Hall 'P 1'
loop_
_atom_site_label
_atom_site_type_symbol
_atom_site_fract_x
_atom_site_fract_y
_atom_site_fract_z
Pr1 Pr 0.2312 0.1421 0.3719
Pr2 Pr 0.2312 0.3579 0.8719
Pr3 Pr 0.7688 0.6421 0.1281
Pr4 Pr 0.7688 0.8579 0.6281
B1 B 0.0108 0.2376 0.0818
B2 B 0.0108 0.2624 0.5818
B3 B 0.2510 0.6282 0.1020
B4 B 0.2510 0.8718 0.6020
B5 B 0.2972 0.6553 0.8813
B6 B 0.2972 0.8447 0.3813
B7 B 0.3091 0.0068 0.7990
B8 B 0.3091 0.4932 0.2990
B9 B 0.4436 0.1802 0.1684
B10 B 0.4436 0.3198 0.6684
B11 B 0.5564 0.6802 0.3316
B12 B 0.5564 0.8198 0.8316
B13 B 0.6909 0.5068 0.7010
B14 B 0.6909 0.9932 0.2010
B15 B 0.7028 0.1553 0.6187
B16 B 0.7028 0.3447 0.1187
B17 B 0.7490 0.1282 0.3980
B18 B 0.7490 0.3718 0.8980
B19 B 0.9892 0.7376 0.4182
B20 B 0.9892 0.7624 0.9182
O1 O 0.0459 0.7093 0.0392
O2 O 0.0459 0.7907 0.5392
O3 O 0.1224 0.7454 0.3497
O4 O 0.1224 0.7546 0.8497
O5 O 0.1743 0.5283 0.1709
O6 O 0.1743 0.9717 0.6709
O7 O 0.2059 0.1749 0.1464
O8 O 0.2059 0.3251 0.6464
O9 O 0.2391 0.1103 0.8505
O10 O 0.2391 0.3897 0.3505
O11 O 0.2457 0.5667 0.7743
O12 O 0.2457 0.9333 0.2743
O13 O 0.3162 0.5766 0.9990
O14 O 0.3162 0.9234 0.4990
O15 O 0.4425 0.6988 0.1904
O16 O 0.4425 0.8012 0.6904
O17 O 0.4814 0.2103 0.5934
O18 O 0.4814 0.2897 0.0934
O19 O 0.4981 0.5576 0.3735
O20 O 0.4981 0.9424 0.8735
O21 O 0.5019 0.0576 0.1265
O22 O 0.5019 0.4424 0.6265
O23 O 0.5186 0.7103 0.9066
O24 O 0.5186 0.7897 0.4066
O25 O 0.5575 0.1988 0.3096
O26 O 0.5575 0.3012 0.8096
O27 O 0.6838 0.0766 0.5010
O28 O 0.6838 0.4234 0.0010
O29 O 0.7543 0.0667 0.7257
O30 O 0.7543 0.4333 0.2257
O31 O 0.7609 0.6103 0.6495
O32 O 0.7609 0.8897 0.1495
O33 O 0.7941 0.6749 0.3536
O34 O 0.7941 0.8251 0.8536
O35 O 0.8257 0.0283 0.3291
O36 O 0.8257 0.4717 0.8291
O37 O 0.8776 0.2454 0.1503
O38 O 0.8776 0.2546 0.6503
O39 O 0.9541 0.2093 0.4608
O40 O 0.9541 0.2907 0.9608
```

Properties
VASP energy: -499.417 eV per cell
energy relative to the elements: -2754 meV per atom
SG: No. 14
total energy after the MP2020 corrections: -8.233 eV per atom
total magnetization: 2.000 μB/f.u.



[2]
Density functional theory data (PBE) for crystalline PrBO3 at its relaxed geometry.

```
data_PrBO3
_cell_length_a 5.8375
_cell_length_b 5.0955
_cell_length_c 8.2293
_cell_angle_alpha 90.00
_cell_angle_beta 90.00
_cell_angle_gamma 90.00
_symmetry_space_group_name_H-M 'P 1'
_symmetry_Int_Tables_number 1
_symmetry_space_group_name_Hall 'P 1'
loop_
_atom_site_label
_atom_site_type_symbol
_atom_site_fract_x
_atom_site_fract_y
_atom_site_fract_z
Pr1 Pr 0.2414 0.2500 0.0838
Pr2 Pr 0.2586 0.7500 0.5838
Pr3 Pr 0.7414 0.2500 0.4162
Pr4 Pr 0.7586 0.7500 0.9162
B1 B 0.0847 0.2500 0.7386
B2 B 0.4153 0.7500 0.2386
B3 B 0.5847 0.2500 0.7614
B4 B 0.9153 0.7500 0.2614
O1 O 0.0897 0.0158 0.8234
O2 O 0.0897 0.4842 0.8234
O3 O 0.0981 0.2500 0.5710
O4 O 0.4019 0.7500 0.0710
O5 O 0.4103 0.5158 0.3234
O6 O 0.4103 0.9842 0.3234
O7 O 0.5897 0.0158 0.6766
O8 O 0.5897 0.4842 0.6766
O9 O 0.5981 0.2500 0.9290
O10 O 0.9019 0.7500 0.4290
O11 O 0.9103 0.5158 0.1766
O12 O 0.9103 0.9842 0.1766
```

Properties
VASP energy: -165.961 eV per cell
energy relative to the elements: -3449 meV per atom
SG: No. 62
total energy after the MP2020 corrections: -8.710 eV per atom



[3]
Density functional theory data (PBE) for crystalline Pr3Si2BO10 at its relaxed geometry.

```
data_Pr3Si2BO10
_cell_length_a 7.2221
_cell_length_b 23.3636
_cell_length_c 9.9407
_cell_angle_alpha 90.00
_cell_angle_beta 90.00
_cell_angle_gamma 90.00
_symmetry_space_group_name_H-M 'P 1'
_symmetry_Int_Tables_number 1
_symmetry_space_group_name_Hall 'P 1'
loop_
_atom_site_label
_atom_site_type_symbol
_atom_site_fract_x
_atom_site_fract_y
_atom_site_fract_z
Pr1 Pr 0.0950 0.1821 0.2323
Pr2 Pr 0.0950 0.3179 0.7323
Pr3 Pr 0.1399 0.5715 0.5082
Pr4 Pr 0.1399 0.9285 0.0082
Pr5 Pr 0.1745 0.6630 0.8656
Pr6 Pr 0.1745 0.8370 0.3656
Pr7 Pr 0.3255 0.1630 0.8656
Pr8 Pr 0.3255 0.3370 0.3656
Pr9 Pr 0.3601 0.0715 0.5082
Pr10 Pr 0.3601 0.4285 0.0082
Pr11 Pr 0.4050 0.6821 0.2323
Pr12 Pr 0.4050 0.8179 0.7323
Pr13 Pr 0.5950 0.1821 0.2677
Pr14 Pr 0.5950 0.3179 0.7677
Pr15 Pr 0.6399 0.5715 0.9918
Pr16 Pr 0.6399 0.9285 0.4918
Pr17 Pr 0.6745 0.6630 0.6344
Pr18 Pr 0.6745 0.8370 0.1344
Pr19 Pr 0.8255 0.1630 0.6344
Pr20 Pr 0.8255 0.3370 0.1344
Pr21 Pr 0.8601 0.0715 0.9918
Pr22 Pr 0.8601 0.4285 0.4918
Pr23 Pr 0.9050 0.6821 0.2677
Pr24 Pr 0.9050 0.8179 0.7677
Si1 Si 0.1421 0.5786 0.1229
Si2 Si 0.1421 0.9214 0.6229
Si3 Si 0.1826 0.7207 0.5621
Si4 Si 0.1826 0.7793 0.0621
Si5 Si 0.3174 0.2207 0.5621
Si6 Si 0.3174 0.2793 0.0621
Si7 Si 0.3579 0.0786 0.1229
Si8 Si 0.3579 0.4214 0.6229
Si9 Si 0.6421 0.5786 0.3771
Si10 Si 0.6421 0.9214 0.8771
Si11 Si 0.6826 0.7207 0.9379
Si12 Si 0.6826 0.7793 0.4379
Si13 Si 0.8174 0.2207 0.9379
Si14 Si 0.8174 0.2793 0.4379
Si15 Si 0.8579 0.0786 0.3771
Si16 Si 0.8579 0.4214 0.8771
B1 B 0.1493 0.0278 0.7534
B2 B 0.1493 0.4722 0.2534
B3 B 0.3507 0.5278 0.7534
B4 B 0.3507 0.9722 0.2534
B5 B 0.6493 0.0278 0.7466
B6 B 0.6493 0.4722 0.2466
B7 B 0.8507 0.5278 0.7466
B8 B 0.8507 0.9722 0.2466
O1 O 0.0340 0.6716 0.6082
O2 O 0.0340 0.8284 0.1082
O3 O 0.0359 0.1019 0.4624
O4 O 0.0359 0.3981 0.9624
O5 O 0.0722 0.0085 0.8688
O6 O 0.0722 0.4915 0.3688
O7 O 0.1294 0.7121 0.0986
O8 O 0.1294 0.7879 0.5986
O9 O 0.1310 0.2109 0.6551
O10 O 0.1310 0.2891 0.1551
O11 O 0.1473 0.6090 0.2733
O12 O 0.1473 0.8910 0.7733
O13 O 0.1533 0.5077 0.1355
O14 O 0.1533 0.9923 0.6355
O15 O 0.1745 0.1053 0.0480
O16 O 0.1745 0.3947 0.5480
O17 O 0.2011 0.7211 0.3967
O18 O 0.2011 0.7789 0.8967
O19 O 0.2298 0.0806 0.7369
O20 O 0.2298 0.4194 0.2369
O21 O 0.2702 0.5806 0.7369
O22 O 0.2702 0.9194 0.2369
O23 O 0.2989 0.2211 0.3967
O24 O 0.2989 0.2789 0.8967
O25 O 0.3255 0.6053 0.0480
O26 O 0.3255 0.8947 0.5480
O27 O 0.3467 0.0077 0.1355
O28 O 0.3467 0.4923 0.6355
O29 O 0.3527 0.1090 0.2733
O30 O 0.3527 0.3910 0.7733
O31 O 0.3690 0.7109 0.6551
O32 O 0.3690 0.7891 0.1551
O33 O 0.3706 0.2122 0.0986
O34 O 0.3706 0.2878 0.5986
O35 O 0.4278 0.5085 0.8688
O36 O 0.4278 0.9915 0.3688
O37 O 0.4641 0.6019 0.4624
O38 O 0.4641 0.8981 0.9624
O39 O 0.4660 0.1716 0.6082
O40 O 0.4660 0.3284 0.1082
O41 O 0.5340 0.6716 0.8918
O42 O 0.5340 0.8284 0.3918
O43 O 0.5359 0.1019 0.0376
O44 O 0.5359 0.3981 0.5376
O45 O 0.5722 0.0085 0.6312
O46 O 0.5722 0.4915 0.1312
O47 O 0.6294 0.7121 0.4014
O48 O 0.6294 0.7879 0.9014
O49 O 0.6310 0.2109 0.8449
O50 O 0.6310 0.2891 0.3449
O51 O 0.6473 0.6090 0.2267
O52 O 0.6473 0.8910 0.7267
O53 O 0.6533 0.5077 0.3645
O54 O 0.6533 0.9923 0.8645
O55 O 0.6745 0.1053 0.4520
O56 O 0.6745 0.3947 0.9520
O57 O 0.7011 0.7211 0.1033
O58 O 0.7011 0.7789 0.6033
O59 O 0.7298 0.0806 0.7631
O60 O 0.7298 0.4194 0.2631
O61 O 0.7702 0.5806 0.7631
O62 O 0.7702 0.9194 0.2631
O63 O 0.7989 0.2211 0.1033
O64 O 0.7989 0.2789 0.6033
O65 O 0.8255 0.6053 0.4520
O66 O 0.8255 0.8947 0.9520
O67 O 0.8467 0.0077 0.3645
O68 O 0.8467 0.4923 0.8645
O69 O 0.8527 0.1090 0.2267
O70 O 0.8527 0.3910 0.7267
O71 O 0.8690 0.7109 0.8449
O72 O 0.8690 0.7891 0.3449
O73 O 0.8706 0.2122 0.4014
O74 O 0.8706 0.2878 0.9014
O75 O 0.9278 0.5085 0.6312
O76 O 0.9278 0.9915 0.1312
O77 O 0.9641 0.6019 0.0376
O78 O 0.9641 0.8981 0.5376
O79 O 0.9660 0.1716 0.8918
O80 O 0.9660 0.3284 0.3918
```

Properties
VASP energy: -1052.276 eV per cell
energy relative to the elements: -3566 meV per atom
SG: No. 61
total energy after the MP2020 corrections: -8.650 eV per atom
total magnetization: 0.009 μB/f.u.



[4]
Density functional theory data (PBE) for crystalline Sr3Pr2B4O12 at its relaxed geometry.

```
data_Sr3Pr2B4O12
_cell_length_a 7.4032
_cell_length_b 8.9033
_cell_length_c 16.7960
_cell_angle_alpha 90.00
_cell_angle_beta 90.00
_cell_angle_gamma 90.00
_symmetry_space_group_name_H-M 'P 1'
_symmetry_Int_Tables_number 1
_symmetry_space_group_name_Hall 'P 1'
loop_
_atom_site_label
_atom_site_type_symbol
_atom_site_fract_x
_atom_site_fract_y
_atom_site_fract_z
Sr1 Sr 0.0368 0.1724 0.0000
Sr2 Sr 0.1793 0.6504 0.7052
Sr3 Sr 0.1931 0.6482 0.9534
Sr4 Sr 0.3069 0.1482 0.4534
Sr5 Sr 0.3207 0.1504 0.2052
Sr6 Sr 0.4632 0.6724 0.5000
Sr7 Sr 0.5368 0.3276 0.0000
Sr8 Sr 0.6793 0.8496 0.7052
Sr9 Sr 0.6931 0.8518 0.9534
Sr10 Sr 0.8069 0.3518 0.4534
Sr11 Sr 0.8207 0.3496 0.2052
Sr12 Sr 0.9632 0.8276 0.5000
Pr1 Pr 0.0312 0.1707 0.6615
Pr2 Pr 0.1845 0.5343 0.3325
Pr3 Pr 0.3155 0.0343 0.8325
Pr4 Pr 0.4688 0.6707 0.1615
Pr5 Pr 0.5312 0.3293 0.6615
Pr6 Pr 0.6845 0.9657 0.3325
Pr7 Pr 0.8155 0.4657 0.8325
Pr8 Pr 0.9688 0.8293 0.1615
B1 B 0.0150 0.1292 0.3268
B2 B 0.1622 0.4380 0.5393
B3 B 0.1735 0.4517 0.1235
B4 B 0.2217 0.3558 0.8303
B5 B 0.2783 0.8558 0.3303
B6 B 0.3265 0.9517 0.6235
B7 B 0.3378 0.9380 0.0393
B8 B 0.4850 0.6292 0.8268
B9 B 0.5150 0.3708 0.3268
B10 B 0.6622 0.0620 0.5393
B11 B 0.6735 0.0483 0.1235
B12 B 0.7217 0.1442 0.8303
B13 B 0.7783 0.6442 0.3303
B14 B 0.8265 0.5483 0.6235
B15 B 0.8378 0.5620 0.0393
B16 B 0.9850 0.8708 0.8268
O1 O 0.0391 0.9450 0.7567
O2 O 0.0474 0.9265 0.8992
O3 O 0.0826 0.2958 0.5389
O4 O 0.1036 0.3085 0.1257
O5 O 0.1158 0.5386 0.4802
O6 O 0.1167 0.2598 0.3235
O7 O 0.1172 0.5609 0.1784
O8 O 0.1367 0.4928 0.8305
O9 O 0.1905 0.9914 0.5706
O10 O 0.2088 0.9711 0.0971
O11 O 0.2321 0.7811 0.3992
O12 O 0.2476 0.7801 0.2587
O13 O 0.2524 0.2801 0.7587
O14 O 0.2679 0.2811 0.8992
O15 O 0.2912 0.4711 0.5971
O16 O 0.3095 0.4914 0.0706
O17 O 0.3633 0.9928 0.3305
O18 O 0.3828 0.0609 0.6784
O19 O 0.3833 0.7598 0.8235
O20 O 0.3842 0.0386 0.9802
O21 O 0.3964 0.8085 0.6257
O22 O 0.4174 0.7958 0.0389
O23 O 0.4526 0.4265 0.3992
O24 O 0.4609 0.4450 0.2567
O25 O 0.5391 0.5550 0.7567
O26 O 0.5474 0.5735 0.8992
O27 O 0.5826 0.2042 0.5389
O28 O 0.6036 0.1915 0.1257
O29 O 0.6158 0.9614 0.4802
O30 O 0.6167 0.2402 0.3235
O31 O 0.6172 0.9391 0.1784
O32 O 0.6367 0.0072 0.8305
O33 O 0.6905 0.5086 0.5706
O34 O 0.7088 0.5289 0.0971
O35 O 0.7321 0.7189 0.3992
O36 O 0.7476 0.7199 0.2587
O37 O 0.7524 0.2199 0.7587
O38 O 0.7679 0.2189 0.8992
O39 O 0.7912 0.0289 0.5971
O40 O 0.8095 0.0086 0.0706
O41 O 0.8633 0.5072 0.3305
O42 O 0.8828 0.4391 0.6784
O43 O 0.8833 0.7402 0.8235
O44 O 0.8842 0.4614 0.9802
O45 O 0.8964 0.6915 0.6257
O46 O 0.9174 0.7042 0.0389
O47 O 0.9526 0.0735 0.3992
O48 O 0.9609 0.0550 0.2567
```

Properties
VASP energy: -650.630 eV per cell
energy relative to the elements: -3342 meV per atom
SG: No. 33
total energy after the MP2020 corrections: -8.138 eV per atom
total magnetization: 0.000 μB/f.u.



[5]
Density functional theory data (PBE) for crystalline BPtO3 at its relaxed geometry.

```
data_BPtO3
_cell_length_a 3.4472
_cell_length_b 3.4472
_cell_length_c 3.4472
_cell_angle_alpha 90.00
_cell_angle_beta 90.00
_cell_angle_gamma 90.00
_symmetry_space_group_name_H-M 'P 1'
_symmetry_Int_Tables_number 1
_symmetry_space_group_name_Hall 'P 1'
loop_
_atom_site_label
_atom_site_type_symbol
_atom_site_fract_x
_atom_site_fract_y
_atom_site_fract_z
B1 B 0.0000 0.0000 0.0000
Pt1 Pt 0.5000 0.5000 0.5000
O1 O 0.0000 0.0000 0.5000
O2 O 0.0000 0.5000 0.0000
O3 O 0.5000 0.0000 0.0000
```

Properties
VASP energy: -27.135 eV per cell
energy relative to the elements: -320 meV per atom
SG: No. 221
total energy after the MP2020 corrections: -5.839 eV per atom
total magnetization: 0.329 μB/f.u.



[6]
Density functional theory data (PBE) for crystalline PuBO3 at its relaxed geometry.

```
data_PuBO3
_cell_length_a 3.5629
_cell_length_b 3.5629
_cell_length_c 3.5629
_cell_angle_alpha 90.00
_cell_angle_beta 90.00
_cell_angle_gamma 90.00
_symmetry_space_group_name_H-M 'P 1'
_symmetry_Int_Tables_number 1
_symmetry_space_group_name_Hall 'P 1'
loop_
_atom_site_label
_atom_site_type_symbol
_atom_site_fract_x
_atom_site_fract_y
_atom_site_fract_z
Pu1 Pu 0.0000 0.0000 0.0000
B1 B 0.5000 0.5000 0.5000
O1 O 0.0000 0.5000 0.5000
O2 O 0.5000 0.0000 0.5000
O3 O 0.5000 0.5000 0.0000
```

Properties
VASP energy: -45.524 eV per cell
energy relative to the elements: -2359 meV per atom
SG: No. 221
total energy after the MP2020 corrections: -9.517 eV per atom
total magnetization: 4.966 μB/f.u.